Version a
{"formula": "Nd4Mo31O56", "functional": "PBE+U", "state": "relaxed", "lattice_angstrom": [[11.7362, -0.3159, 11.6305], [5.0769, 8.0528, 5.0429], [-0.8180, -0.1455, 12.4420]], "species": ["O", "O", "O", "O", "O", "O", "O", "O", "O", "O", "O", "O", "O", "O", "O", "O", "O", "O", "O", "O", "O", "O", "O", "O", "O", "O", "O", "O", "O", "O", "O", "O", "O", "O", "O", "O", "O", "O", "O", "O", "O", "O", "O", "O", "O", "O", "O", "O", "O", "O", "O", "O", "O", "O", "O", "O", "Mo", "Mo", "Mo", "Mo", "Mo", "Mo", "Mo", "Mo", "Mo", "Mo", "Mo", "Mo", "Mo", "Mo", "Mo", "Mo", "Mo", "Mo", "Mo", "Mo", "Mo", "Mo", "Mo", "Mo", "Mo", "Mo", "Mo", "Mo", "Mo", "Mo", "Mo", "Nd", "Nd", "Nd", "Nd"], "fractional_positions": [[0.1949, 0.5188, 0.7483], [0.4162, 0.8683, 0.2621], [0.3536, 0.6774, 0.2066], [0.0910, 0.9088, 0.7183], [0.4384, 0.3128, 0.4988], [0.8450, 0.3763, 0.0214], [0.2081, 0.5617, 0.2555], [0.0989, 0.8930, 0.4829], [0.3166, 0.3929, 0.0342], [0.6808, 0.8271, 0.9927], [0.3332, 0.6323, 0.7458], [0.9359, 0.3113, 0.5019], [0.0799, 0.4580, 0.2489], [0.6985, 0.5178, 0.7464], [0.3282, 0.1799, 0.4940], [0.5916, 0.9063, 0.7286], [0.3037, 0.1888, 0.2897], [0.0675, 0.6939, 0.0064], [0.8086, 0.1887, 0.2821], [0.8487, 0.9370, 0.9779], [0.8320, 0.6232, 0.7544], [0.0729, 0.9546, 0.2609], [0.9451, 0.8441, 0.2487], [0.0591, 0.4096, 0.7868], [0.9551, 0.3300, 0.2499], [0.3457, 0.9386, 0.9791], [0.0823, 0.1661, 0.9910], [0.5712, 0.4326, 0.5322], [0.6973, 0.0037, 0.7553], [0.4769, 0.7764, 0.4966], [0.9643, 0.2515, 0.7502], [0.5725, 0.9604, 0.2576], [0.3209, 0.6503, 0.5027], [0.5767, 0.4614, 0.2181], [0.3368, 0.1252, 0.7476], [0.7112, 0.0811, 0.2429], [0.7450, 0.5640, 0.2322], [0.4357, 0.3433, 0.2678], [0.4661, 0.7558, 0.7460], [0.7334, 0.2768, 0.9914], [0.8278, 0.1718, 0.5022], [0.6097, 0.8874, 0.4693], [0.9598, 0.7545, 0.7545], [0.0755, 0.4261, 0.5324], [0.5782, 0.1617, 0.0018], [0.8203, 0.6613, 0.5107], [0.5562, 0.4188, 0.7874], [0.4536, 0.2573, 0.7547], [0.2074, 0.0756, 0.2424], [0.8263, 0.1333, 0.7580], [0.2214, 0.2766, 0.9999], [0.9726, 0.7705, 0.5094], [0.2012, 0.0155, 0.7472], [0.1882, 0.8131, 0.0008], [0.8518, 0.6872, 0.2077], [0.5628, 0.6939, 0.9861], [0.5064, 0.5993, 0.6421], [0.7547, 0.3332, 0.6447], [0.7563, 0.2582, 0.1404], [0.1413, 0.6218, 0.1322], [0.3860, 0.8654, 0.1336], [0.2779, 0.9583, 0.8694], [0.4005, 0.0991, 0.8566], [0.8936, 0.4572, 0.6323], [0.6569, 0.7424, 0.3372], [0.0248, 0.1174, 0.3724], [0.1555, 0.7391, 0.3538], [0.8984, 0.5100, 0.3577], [0.6497, 0.8171, 0.8696], [0.0072, 0.0107, 0.1412], [0.1302, 0.7359, 0.6281], [0.5265, 0.1198, 0.3712], [0.7654, 0.3689, 0.3689], [0.9053, 0.0947, 0.8518], [0.6351, 0.7407, 0.6215], [0.7698, 0.9635, 0.8745], [0.2557, 0.3736, 0.3753], [0.8833, 0.8748, 0.1300], [0.5105, 0.2381, 0.8752], [0.2507, 0.2467, 0.1476], [0.1516, 0.8341, 0.8556], [0.3905, 0.4592, 0.6356], [0.2561, 0.3335, 0.6448], [0.0152, 0.2297, 0.8714], [0.4101, 0.5058, 0.3488], [0.5024, 0.0083, 0.1438], [0.0020, 0.5998, 0.6518], [0.3009, 0.9805, 0.4950], [0.0329, 0.4434, 0.0145], [0.5538, 0.4735, 0.9889], [0.7988, 0.9807, 0.5077]]}

Version b
{"formula": "Nd4Mo31O56", "functional": "PBE+U", "state": "relaxed", "lattice_angstrom": [[-0.8363, 13.4036, 6.9625], [-6.5444, 3.6599, 6.7907], [4.9196, 3.4564, 10.3441]], "species": ["O", "O", "O", "O", "O", "O", "O", "O", "O", "O", "O", "O", "O", "O", "O", "O", "O", "O", "O", "O", "O", "O", "O", "O", "O", "O", "O", "O", "O", "O", "O", "O", "O", "O", "O", "O", "O", "O", "O", "O", "O", "O", "O", "O", "O", "O", "O", "O", "O", "O", "O", "O", "O", "O", "O", "O", "Mo", "Mo", "Mo", "Mo", "Mo", "Mo", "Mo", "Mo", "Mo", "Mo", "Mo", "Mo", "Mo", "Mo", "Mo", "Mo", "Mo", "Mo", "Mo", "Mo", "Mo", "Mo", "Mo", "Mo", "Mo", "Mo", "Mo", "Mo", "Mo", "Mo", "Mo", "Nd", "Nd", "Nd", "Nd"], "fractional_positions": [[0.0732, 0.3881, 0.7684], [0.8431, 0.6996, 0.2326], [0.8165, 0.1609, 0.5153], [0.4613, 0.3427, 0.2350], [0.2123, 0.5841, 0.2435], [0.7276, 0.5793, 0.2402], [0.9464, 0.8474, 0.2643], [0.8221, 0.1322, 0.7593], [0.5640, 0.1959, 0.0127], [0.4611, 0.2497, 0.7422], [0.5749, 0.4273, 0.5119], [0.3322, 0.9317, 0.9923], [0.6949, 0.5009, 0.7658], [0.9613, 0.7880, 0.5010], [0.5812, 0.4442, 0.2502], [0.0748, 0.4279, 0.5110], [0.4758, 0.2697, 0.5044], [0.2112, 0.2894, 0.9996], [0.3426, 0.6959, 0.2309], [0.5720, 0.3905, 0.7685], [0.0820, 0.4724, 0.2390], [0.3164, 0.1638, 0.5143], [0.2258, 0.7755, 0.0001], [0.4639, 0.7864, 0.4977], [0.8335, 0.9302, 0.9906], [0.7112, 0.2903, 0.9998], [0.3210, 0.1256, 0.7608], [0.9625, 0.3447, 0.2362], [0.3324, 0.6248, 0.7392], [0.7079, 0.0005, 0.7333], [0.3233, 0.4148, 0.0113], [0.4450, 0.8505, 0.2542], [0.9531, 0.7467, 0.7605], [0.1928, 0.4986, 0.7673], [0.8369, 0.3998, 0.0087], [0.7055, 0.0829, 0.2592], [0.2043, 0.0853, 0.2526], [0.4555, 0.7487, 0.7569], [0.8298, 0.6920, 0.4869], [0.7122, 0.7781, 0.0078], [0.3205, 0.1972, 0.2714], [0.2174, 0.9893, 0.7313], [0.8232, 0.1968, 0.2703], [0.0709, 0.9717, 0.2616], [0.9621, 0.2492, 0.7434], [0.0902, 0.8887, 0.7326], [0.5898, 0.8889, 0.7319], [0.5881, 0.9119, 0.4880], [0.0869, 0.9118, 0.4893], [0.9772, 0.2745, 0.4988], [0.3300, 0.6895, 0.4874], [0.0674, 0.1899, 0.0124], [0.8318, 0.6254, 0.7402], [0.5704, 0.6809, 0.9941], [0.5718, 0.9702, 0.2614], [0.0755, 0.6670, 0.9877], [0.8982, 0.8848, 0.1207], [0.8828, 0.4720, 0.6223], [0.6423, 0.8391, 0.8790], [0.0168, 0.0061, 0.1244], [0.1323, 0.6437, 0.1210], [0.5215, 0.0040, 0.1199], [0.2781, 0.2361, 0.1210], [0.4031, 0.8821, 0.1199], [0.1495, 0.7329, 0.3803], [0.8927, 0.5059, 0.3759], [0.0278, 0.5886, 0.6220], [0.5073, 0.1398, 0.3779], [0.7487, 0.9714, 0.8818], [0.0270, 0.1913, 0.8768], [0.6509, 0.7008, 0.6194], [0.6522, 0.7294, 0.3751], [0.0045, 0.1408, 0.3796], [0.3992, 0.0884, 0.8794], [0.7680, 0.3339, 0.6271], [0.5199, 0.2007, 0.8794], [0.2717, 0.3777, 0.3810], [0.7730, 0.3780, 0.3812], [0.2564, 0.9698, 0.8773], [0.5297, 0.5878, 0.6198], [0.8979, 0.0897, 0.8798], [0.4010, 0.5006, 0.3700], [0.7764, 0.2497, 0.1185], [0.3812, 0.4702, 0.6226], [0.1422, 0.8345, 0.8755], [0.2671, 0.3369, 0.6255], [0.1500, 0.6986, 0.6213], [0.5046, 0.4999, 0.0035], [0.9864, 0.5038, 0.0057], [0.7503, 0.9993, 0.4995], [0.2607, 0.9907, 0.4920]]}

Relative energy of each structure, in kJ/mol of atoms: version a 0.0; version b 10.5.